A plane-wave DFT calculation with PBE was carried out for Na3Mg2Ge2P3S3O24 after structural relaxation.

Geometry as POSCAR:
```
Na3Mg2Ge2P3S3O24
1.0
8.570 0.000 0.023
-4.285 7.397 -0.019
0.060 -0.021 21.995
O P S Ge Mg Na
72 9 9 6 6 9
direct
0.963 0.155 0.594 O
0.639 0.134 0.419 O
0.967 0.818 0.097 O
0.516 0.863 0.081 O
0.707 0.553 0.531 O
0.539 0.689 0.972 O
0.847 0.296 0.531 O
0.873 0.361 0.641 O
0.487 0.320 0.741 O
0.231 0.039 0.311 O
0.838 0.558 0.031 O
0.361 0.492 0.358 O
0.819 0.039 0.806 O
0.157 0.693 0.468 O
0.345 0.856 0.584 O
0.503 0.870 0.360 O
0.168 0.485 0.254 O
0.036 0.208 0.192 O
0.313 0.846 0.969 O
0.514 0.648 0.582 O
0.646 0.516 0.642 O
0.830 0.511 0.738 O
0.137 0.482 0.582 O
0.838 0.028 0.092 O
0.501 0.635 0.861 O
0.820 0.785 0.305 O
0.356 0.495 0.082 O
0.864 0.362 0.919 O
0.641 0.128 0.141 O
0.841 0.812 0.593 O
0.788 0.826 0.191 O
0.029 0.828 0.410 O
0.961 0.184 0.307 O
0.497 0.135 0.917 O
0.180 0.151 0.095 O
0.172 0.200 0.411 O
0.537 0.846 0.470 O
0.028 0.200 0.909 O
0.362 0.870 0.857 O
0.172 0.973 0.910 O
0.800 0.833 0.910 O
0.958 0.773 0.806 O
0.868 0.506 0.144 O
0.312 0.468 0.470 O
0.227 0.190 0.810 O
0.157 0.463 0.968 O
0.170 0.210 0.696 O
0.516 0.830 0.754 O
0.318 0.488 0.756 O
0.039 0.825 0.692 O
0.126 0.634 0.358 O
0.168 0.681 0.754 O
0.829 0.314 0.239 O
0.515 0.686 0.255 O
0.496 0.363 0.418 O
0.801 0.969 0.409 O
0.500 0.360 0.139 O
0.685 0.168 0.739 O
0.681 0.515 0.241 O
0.319 0.830 0.256 O
0.495 0.140 0.640 O
0.145 0.656 0.083 O
0.174 0.960 0.196 O
0.437 0.287 0.025 O
0.439 0.150 0.526 O
0.180 0.034 0.595 O
0.126 0.491 0.857 O
0.703 0.154 0.031 O
0.864 0.500 0.420 O
0.637 0.505 0.918 O
0.794 0.962 0.692 O
0.489 0.169 0.240 O
0.296 0.295 0.752 P
0.711 0.002 0.749 P
0.369 0.322 0.085 P
0.957 0.629 0.087 P
0.996 0.702 0.750 P
0.368 0.044 0.585 P
0.300 0.003 0.252 P
0.995 0.291 0.250 P
0.708 0.708 0.250 P
0.955 0.325 0.586 S
0.043 0.379 0.914 S
0.043 0.663 0.415 S
0.623 0.952 0.416 S
0.334 0.952 0.915 S
0.623 0.672 0.916 S
0.333 0.383 0.416 S
0.674 0.048 0.085 S
0.674 0.629 0.586 S
0.333 0.663 0.308 Ge
0.013 0.002 0.154 Ge
0.333 0.670 0.808 Ge
0.661 0.326 0.687 Ge
0.669 0.340 0.187 Ge
0.008 0.000 0.654 Ge
0.998 0.002 0.347 Mg
0.334 0.671 0.524 Mg
0.995 0.994 0.847 Mg
0.321 0.661 0.024 Mg
0.666 0.334 0.483 Mg
0.672 0.339 0.984 Mg
0.333 0.035 0.417 Na
0.334 0.674 0.664 Na
0.681 0.335 0.831 Na
0.992 0.000 0.502 Na
0.315 0.659 0.165 Na
0.333 0.298 0.917 Na
0.005 0.997 0.001 Na
0.661 0.689 0.083 Na
0.681 0.345 0.331 Na
```

## Properties
The calculation puts the MP2020-corrected energy at -6.793 eV per atom. The calculated density is 3.0 Mg/m³. For the formation energy, the calculation gives -2.365 eV/atom.

A plane-wave DFT calculation with PBE was carried out for Sr3La3Zn2RuO12 after structural relaxation.

Geometry as POSCAR:
```
Sr3La3Zn2RuO12
1.0
2.806 6.373 0.000
-2.806 6.373 0.000
0.000 6.342 8.406
Ru O La Sr Zn
1 12 3 3 2
direct
0.000 0.000 0.000 Ru
0.497 0.497 0.349 O
0.157 0.157 0.006 O
0.497 0.002 0.504 O
0.144 0.144 0.348 O
0.331 0.847 0.833 O
0.674 0.164 0.162 O
0.859 0.859 0.648 O
0.847 0.331 0.833 O
0.483 0.483 0.675 O
0.164 0.674 0.162 O
0.847 0.847 0.989 O
0.002 0.497 0.504 O
0.037 0.037 0.649 La
0.316 0.316 0.649 La
0.964 0.964 0.349 La
0.642 0.642 0.002 Sr
0.356 0.356 0.999 Sr
0.690 0.690 0.340 Sr
0.334 0.334 0.332 Zn
0.657 0.657 0.667 Zn
```

## Properties
The calculation puts the MP2020-corrected energy at -7.184 eV per atom. The calculated density is 6.1 Mg/m³. For the formation energy, the calculation gives -2.849 eV/atom.

A plane-wave DFT calculation with PBE was carried out for CuHgO2 after structural relaxation.

Geometry as POSCAR:
```
CuHgO2
1.0
1.493 3.440 0.000
-1.493 3.440 0.000
0.000 2.143 5.621
O Hg Cu
2 1 1
direct
0.613 0.613 0.780 O
0.387 0.387 0.220 O
0.500 0.500 0.500 Hg
0.000 0.000 0.000 Cu
```

## Properties
The calculation puts the MP2020-corrected energy at -4.312 eV per atom. The calculated density is 8.5 Mg/m³. For the formation energy, the calculation gives -0.737 eV/atom.

A plane-wave DFT calculation with PBE was carried out for LiBi2As2Pb2O10 after structural relaxation.

Geometry as POSCAR:
```
LiBi2As2Pb2O10
1.0
5.546 0.430 -2.250
-0.538 6.914 -2.572
-0.154 0.084 7.327
Bi O Pb As Li
2 10 2 2 1
direct
0.963 0.235 0.979 Bi
0.064 0.746 0.960 Bi
0.226 0.347 0.377 O
0.666 0.392 0.217 O
0.089 0.239 0.671 O
0.317 0.602 0.783 O
0.794 0.006 0.021 O
0.750 0.669 0.626 O
0.575 0.228 0.711 O
0.874 0.750 0.325 O
0.257 0.001 0.004 O
0.383 0.727 0.289 O
0.418 0.929 0.730 Pb
0.663 0.114 0.319 Pb
0.675 0.630 0.360 As
0.298 0.357 0.636 As
0.167 0.601 0.353 Li
```

## Properties
The calculation puts the MP2020-corrected energy at -6.140 eV per atom. The calculated density is 6.8 Mg/m³. For the formation energy, the calculation gives -1.675 eV/atom.

A plane-wave DFT calculation with PBE was carried out for SmMgAu after structural relaxation.

Geometry as POSCAR:
```
SmMgAu
1.0
-5.314 -3.331 4.619
0.008 -1.504 -7.642
2.532 -3.171 0.627
Mg Sm Au
3 3 3
direct
0.246 0.000 0.500 Mg
0.754 0.754 0.500 Mg
0.000 0.246 0.500 Mg
0.000 0.590 0.000 Sm
0.410 0.410 0.000 Sm
0.590 0.000 0.000 Sm
0.333 0.667 0.500 Au
0.667 0.333 0.500 Au
0.000 0.000 0.000 Au
```

## Properties
The calculated density is 8.6 Mg/m³. For the formation energy, the calculation gives -0.666 eV/atom.

A plane-wave DFT calculation with PBE was carried out for SrLa6OsI12 after structural relaxation.

Geometry as POSCAR:
```
SrLa6OsI12
1.0
-9.292 4.030 1.166
-1.276 -10.092 -0.687
5.020 1.707 8.708
La I Os Sr
6 12 1 1
direct
0.303 0.098 0.024 La
0.902 0.976 0.697 La
0.697 0.902 0.976 La
0.024 0.303 0.098 La
0.098 0.024 0.303 La
0.976 0.697 0.902 La
0.773 0.925 0.320 I
0.457 0.148 0.377 I
0.623 0.543 0.852 I
0.227 0.075 0.680 I
0.148 0.377 0.457 I
0.320 0.773 0.925 I
0.377 0.457 0.148 I
0.925 0.320 0.773 I
0.852 0.623 0.543 I
0.075 0.680 0.227 I
0.543 0.852 0.623 I
0.680 0.227 0.075 I
0.000 0.000 0.000 Os
0.500 0.500 0.500 Sr
```

## Properties
The calculation puts the MP2020-corrected energy at -4.673 eV per atom. The calculated density is 4.9 Mg/m³. For the formation energy, the calculation gives -1.632 eV/atom.

A plane-wave DFT calculation with PBE was carried out for Cs after structural relaxation.

Geometry as POSCAR:
```
Cs
1.0
13.375 0.000 0.000
0.000 13.375 0.000
0.000 0.000 13.375
Cs
20
direct
0.312 0.188 0.812 Cs
0.938 0.562 0.438 Cs
0.375 0.797 0.953 Cs
0.953 0.375 0.797 Cs
0.812 0.312 0.188 Cs
0.438 0.938 0.562 Cs
0.688 0.688 0.688 Cs
0.297 0.547 0.625 Cs
0.547 0.625 0.297 Cs
0.047 0.875 0.703 Cs
0.188 0.812 0.312 Cs
0.625 0.297 0.547 Cs
0.875 0.703 0.047 Cs
0.125 0.203 0.453 Cs
0.203 0.453 0.125 Cs
0.703 0.047 0.875 Cs
0.062 0.062 0.062 Cs
0.797 0.953 0.375 Cs
0.453 0.125 0.203 Cs
0.562 0.438 0.938 Cs
```

## Properties
The calculated density is 1.8 Mg/m³. For the formation energy, the calculation gives 0.039 eV/atom.

A plane-wave DFT calculation with PBE was carried out for ErU after structural relaxation.

Geometry as POSCAR:
```
ErU
1.0
-0.539 1.636 2.701
-2.357 -1.712 -1.333
1.574 -4.563 3.079
Er U
1 1
direct
0.333 0.667 0.500 Er
0.000 0.000 0.000 U
```

## Properties
The calculated density is 13.2 Mg/m³. For the formation energy, the calculation gives 0.429 eV/atom.